(1)
The following is a GGA-PBE calculation of a geometry-optimized Ba7ZrN6 structure, from Materials Project.

Unit cell a=12.4934 b=7.3267 c=15.0347 alpha=90.00 beta=90.00 gamma=90.00
With the nearest neighbours (Å) after each atom.
Space group Pbcn (No. 60)
Unique sites:
Ba1 0.0000 0.0580 0.2500 (multiplicity 4)  4 N 2.88-2.96
Ba2 0.0056 0.2412 0.5266 (multiplicity 8)  3 N 2.69-2.82
Ba3 0.2201 0.4279 0.1225 (multiplicity 8)  3 N 2.63-2.94
Ba4 0.2305 0.2711 0.3729 (multiplicity 8)  4 N 2.62-2.88
Zr1 0.0000 0.4340 0.7500 (multiplicity 4)  4 N 2.11-2.15
N1 0.0183 0.3918 0.3604 (multiplicity 8)  1 Zr 2.11
N2 0.1323 0.2582 0.7196 (multiplicity 8)  1 Zr 2.15
N3 0.1644 0.0167 0.9826 (multiplicity 8)  5 Ba 2.62-2.82

Output
formation enthalpy at 0 K = -762 meV/atom

---

(2)
The following is a GGA-PBE calculation of a geometry-optimized BaNa structure, from Materials Project.

Unit cell a=16.9987 b=16.9987 c=16.9987 alpha=90.00 beta=90.00 gamma=90.00
With the nearest neighbours (Å) after each atom.
Space group Fd-3m (No. 227, origin choice 2)
Unique sites:
Ba1 0.0691 0.3750 0.3750 (multiplicity 48)  6 Na 4.14-4.30, 4 Ba 4.46
Na1 0.0000 0.0000 0.5000 (multiplicity 16)  6 Na 3.64
Na2 0.0463 0.0463 0.7037 (multiplicity 32)  6 Na 3.64-3.78

Output
formation enthalpy at 0 K = -21 meV/atom

---

(3)
The following is a GGA-PBE calculation of a geometry-optimized Ba3Na structure, from Materials Project.

Unit cell a=5.9626 b=5.9626 c=13.2532 alpha=90.00 beta=90.00 gamma=90.00
With the nearest neighbours (Å) after each atom.
Space group I4/mmm (No. 139)
Unique sites:
Ba1 0.0000 0.0000 0.0000 (multiplicity 2)  4 Na 4.22, 8 Ba 4.46
Ba2 0.0000 0.5000 0.2500 (multiplicity 4)  8 Ba 4.22-4.46, 4 Na 4.46
Na1 0.0000 0.0000 0.5000 (multiplicity 2)  12 Ba 4.22-4.46

Output
formation enthalpy at 0 K = 65 meV/atom

---

(4)
The following is a GGA-PBE calculation of a geometry-optimized Ba3Na structure, from Materials Project.

Unit cell a=6.2081 b=6.2081 c=6.2081 alpha=90.00 beta=90.00 gamma=90.00
With the nearest neighbours (Å) after each atom.
Space group Pm-3m (No. 221)
Unique sites:
Ba1 0.0000 0.0000 0.5000 (multiplicity 3)  8 Ba 4.39, 4 Na 4.39
Na1 0.5000 0.5000 0.5000 (multiplicity 1)  12 Ba 4.39

Output
formation enthalpy at 0 K = 44 meV/atom

---

(5)
The following is a GGA-PBE calculation of a geometry-optimized BaNa structure, from Materials Project.

Unit cell a=17.8367 b=17.8367 c=17.8367 alpha=90.00 beta=90.00 gamma=90.00
With the nearest neighbours (Å) after each atom.
Space group Fd-3m (No. 227, origin choice 2)
Unique sites:
Ba1 0.0000 0.0000 0.0000 (multiplicity 16)  6 Ba 3.96, 6 Na 4.29
Ba2 0.0326 0.0326 0.2174 (multiplicity 32)  3 Ba 3.96, 6 Na 4.09-4.20
Na1 0.0867 0.3750 0.8750 (multiplicity 48)  6 Ba 4.09-4.29, 4 Na 4.56

Output
formation enthalpy at 0 K = 165 meV/atom

---

(6)
The following is a GGA-PBE calculation of a geometry-optimized Ba6Na2Nb2P2O17 structure, from Materials Project.

Unit cell a=5.9100 b=5.9100 c=14.7596 alpha=90.00 beta=90.00 gamma=120.00
With the nearest neighbours (Å) after each atom.
Space group P-3m1 (No. 164)
Unique sites:
Ba1 0.0000 0.0000 0.0000 (multiplicity 1)  12 O 2.96-2.98
Ba2 0.0000 0.0000 0.5000 (multiplicity 1)  6 O 2.87
Ba3 0.3333 0.6667 0.3197 (multiplicity 2)  4 O 2.67-2.84
Ba4 0.3333 0.6667 0.8438 (multiplicity 2)  9 O 2.87-2.96
Na1 0.0000 0.0000 0.2530 (multiplicity 2)  6 O 2.26-2.48
Nb1 0.3333 0.6667 0.0881 (multiplicity 2)  6 O 1.93-2.15
P1 0.3333 0.6667 0.6047 (multiplicity 2)  4 O 1.54-1.57
O1 0.0000 0.5000 0.0000 (multiplicity 3)  2 Nb 2.15
O2 0.1765 0.3530 0.1610 (multiplicity 6)  1 Nb 1.93
O3 0.1898 0.3796 0.6428 (multiplicity 6)  1 P 1.57
O4 0.3333 0.6667 0.5004 (multiplicity 2)  1 P 1.54

Output
formation enthalpy at 0 K = -3143 meV/atom

---

Question: formation enthalpy at 0 K of number 5 (BaNa)?
Answer: 165 meV/atom

---

Question: Which value of formation enthalpy at 0 K does entry 3 give?
Answer: 65 meV/atom